60
Lattice="4.404 -7.628 0.000 4.404 7.628 0.000 0.000 0.000 8.563" Properties=species:S:1:pos:R:3 comment="CaZrAl9BO18, relaxed, DFT PBE" m_tot_mub_per_cell=0.00 space_group="P6_3/m (176)" pbc="T T T"
Al 1.666 -2.616 7.897
Al 2.971 4.878 0.665
Al 3.098 0.135 3.616
Al 5.710 -0.135 4.947
Al 2.959 5.059 6.422
Al 5.850 -5.059 2.141
Al 2.948 0.033 6.422
Al 1.666 -2.616 4.947
Al 5.860 -0.033 2.141
Al 2.971 4.878 3.616
Al 3.098 0.135 0.665
Al 5.710 -0.135 7.897
Al 7.142 2.616 0.665
Al 5.837 -4.878 4.947
Al 5.837 -4.878 7.897
Al 7.306 2.536 6.422
Al 1.502 -2.536 2.141
Al 7.142 2.616 3.616
O 2.817 -3.091 0.790
O 4.193 1.177 2.141
O 4.885 5.114 6.422
O 5.481 -3.409 6.422
O 6.871 -1.674 2.141
O 3.115 -3.043 6.422
O 1.792 1.467 3.572
O 7.016 -1.467 7.853
O 2.167 -0.818 4.991
O 5.991 3.091 5.071
O 6.642 0.818 0.709
O 4.086 0.894 7.773
O 4.615 -1.177 6.422
O 5.673 -3.643 0.790
O 3.327 3.409 2.141
O 5.991 3.091 7.773
O 4.086 0.894 5.071
O 3.923 -5.114 2.141
O 5.673 -3.643 3.491
O 5.693 3.043 2.141
O 1.937 1.674 6.422
O 4.029 -5.343 7.853
O 3.135 3.643 7.773
O 4.779 5.343 0.709
O 7.016 -1.467 4.991
O 2.817 -3.091 3.491
O 1.792 1.467 0.709
O 4.029 -5.343 4.991
O 4.723 -0.894 3.491
O 6.642 0.818 3.572
O 2.167 -0.818 7.853
O 2.418 -0.840 2.141
O 4.723 -0.894 0.790
O 6.390 0.840 6.422
O 4.779 5.343 3.572
O 3.135 3.643 5.071
Ca 0.000 0.000 4.281
Ca 0.000 0.000 0.000
Zr 4.404 2.543 6.422
Zr 4.404 -2.543 2.141
B 4.404 2.543 2.141
B 4.404 -2.543 6.422

16
Lattice="0.000 -4.820 0.000 -5.520 0.000 0.116 0.071 0.000 -8.750" Properties=species:S:1:pos:R:3 comment="SbO3, relaxed, DFT PBE" e_above_lowest_polymorph_ev_per_atom=0.025 m_tot_mub_per_cell=4.00 space_group="P2_1/c (14)" pbc="T T T"
O -3.103 -3.947 -0.630
O -5.150 -1.140 -0.379
O -0.307 -3.284 -5.063
O -5.142 -1.537 -3.571
O -3.334 -3.355 -6.623
O -4.840 -0.945 -6.328
O -0.300 -3.680 -8.255
O -0.609 -3.875 -2.306
O -2.354 -1.270 -4.812
O -2.116 -1.465 -2.011
O -2.347 -0.873 -8.004
O -3.095 -3.550 -3.822
Sb -1.327 -0.100 -0.814
Sb -4.052 -2.310 -5.131
Sb -1.397 -2.510 -3.503
Sb -4.122 -4.720 -7.820

12
Lattice="-1.985 1.985 12.195 1.985 -1.985 12.195 1.985 1.985 -12.195" Properties=species:S:1:pos:R:3 comment="ZrNb2Pd9, relaxed, DFT PBE" m_tot_mub_per_cell=0.00 space_group="I4/mmm (139)" pbc="T T T"
Nb 0.000 0.000 16.266
Nb 0.000 0.000 8.124
Pd 0.000 1.985 10.094
Pd 0.000 0.000 20.287
Pd 1.985 0.000 6.098
Pd 0.000 0.000 12.195
Pd 0.000 0.000 4.103
Pd 0.000 1.985 6.098
Pd 1.985 0.000 2.101
Pd 0.000 1.985 2.101
Pd 1.985 0.000 10.094
Zr 0.000 0.000 0.000

8
Lattice="0.543 -2.182 6.435 -2.857 2.223 5.776 -0.417 -2.320 -6.396" Properties=species:S:1:pos:R:3 comment="Sc3RuC4, relaxed, DFT PBE" space_group="Immm (71)" pbc="T T T"
Sc -1.875 0.033 9.898
Sc 0.063 -2.251 0.019
Sc -0.438 0.008 2.313
Ru -1.637 -0.049 -0.310
C -1.295 -1.591 -1.873
C -0.838 -0.699 4.535
C -1.892 -1.580 1.280
C -1.435 -0.689 7.688

14
Lattice="5.530 0.000 0.000 2.713 4.881 0.000 2.599 1.636 5.209" Properties=species:S:1:pos:R:3 comment="Li7BiO6, relaxed, DFT PBE" e_above_lowest_polymorph_ev_per_atom=0.000 space_group="P1 (1)" piezo_max_c_m2=0.4 pbc="T T T"
O 6.490 1.676 3.822
O 7.179 3.417 1.263
O 4.655 1.471 1.228
O 3.559 3.104 4.096
O 6.217 4.924 3.946
O 4.461 4.872 1.257
Li 4.226 4.634 3.214
Li 5.322 3.181 0.273
Li 7.388 3.415 3.237
Li 5.458 3.256 5.154
Li 6.592 1.716 1.844
Li 6.187 4.976 1.934
Li 4.612 1.742 3.197
Bi 2.718 4.787 0.031

14
Lattice="6.230 0.000 0.000 0.000 6.230 0.000 0.000 0.000 8.961" Properties=species:S:1:pos:R:3 comment="Cs2H4Pt, relaxed, DFT PBE" space_group="P4_2/mnm (136)" pbc="T T T"
Cs 0.000 3.115 2.240
Cs 3.115 0.000 6.720
Cs 3.115 0.000 2.240
Cs 0.000 3.115 6.720
H 0.000 0.000 7.294
H 0.000 0.000 1.666
H 3.115 3.115 6.147
H 3.115 3.115 2.814
H 5.056 5.056 0.000
H 1.941 4.290 4.480
H 4.290 1.941 4.480
H 1.174 1.174 0.000
Pt 3.115 3.115 4.480
Pt 0.000 0.000 0.000

12
Lattice="-1.268 -3.299 -0.321 6.232 -2.304 -0.946 1.039 -1.395 10.235" Properties=species:S:1:pos:R:3 comment="KZnN, relaxed, DFT PBE" m_tot_mub_per_cell=0.00 space_group="Pnma (62)" pbc="T T T"
K 5.347 -5.145 2.332
K 3.324 -4.903 7.836
K 0.656 -1.852 6.636
K 2.679 -2.094 1.132
Zn 1.891 -3.982 4.023
Zn 0.780 -4.076 9.388
Zn 5.222 -2.921 -0.420
Zn 4.111 -3.016 4.945
N 4.073 -4.914 4.983
N 4.050 -4.400 -0.210
N 1.929 -2.084 3.985
N 1.953 -2.598 9.178

80
Lattice="4.913 0.000 0.000 0.000 5.942 0.000 0.000 0.000 34.272" Properties=species:S:1:pos:R:3 comment="Si2Ni5P3, relaxed, DFT PBE" m_tot_mub_per_cell=0.04 space_group="Pbca (61)" pbc="T T T"
Si 3.535 2.436 7.779
Si 0.963 0.489 4.243
Si 1.494 0.489 21.379
Si 1.494 3.460 30.029
Si 3.834 2.436 24.915
Si 1.079 3.507 9.357
Si 1.378 0.535 24.915
Si 3.950 2.482 21.379
Si 1.378 3.507 26.493
Si 3.419 2.482 4.243
Si 3.950 5.453 30.029
Si 3.419 5.453 12.893
Si 1.079 0.535 7.779
Si 0.963 3.460 12.893
Si 3.535 5.407 9.357
Si 3.834 5.407 26.493
Ni 0.001 4.267 7.508
Ni 2.456 1.296 26.764
Ni 2.417 1.219 29.884
Ni 0.001 1.296 9.628
Ni 4.912 1.675 26.764
Ni 4.874 4.723 21.524
Ni 4.912 4.646 24.644
Ni 0.039 1.219 12.748
Ni 2.479 4.759 28.316
Ni 2.456 4.267 24.644
Ni 2.400 1.185 16.313
Ni 2.513 4.758 17.960
Ni 0.023 4.155 28.316
Ni 4.874 1.752 29.884
Ni 4.856 4.758 0.823
Ni 2.496 4.723 4.388
Ni 2.463 4.226 31.948
Ni 0.006 1.716 19.460
Ni 0.057 4.156 17.960
Ni 2.479 1.788 23.093
Ni 2.450 1.716 2.324
Ni 2.496 1.752 12.748
Ni 2.457 1.675 9.628
Ni 4.890 1.788 5.957
Ni 2.417 4.191 21.524
Ni 2.463 1.255 19.460
Ni 2.450 4.687 14.812
Ni 4.890 4.759 11.180
Ni 2.457 4.646 7.508
Ni 2.513 1.786 33.449
Ni 0.023 1.184 23.093
Ni 2.434 4.155 11.180
Ni 2.400 4.156 0.823
Ni 0.039 4.191 4.388
Ni 0.006 4.687 31.948
Ni 0.057 1.185 33.449
Ni 2.434 1.184 5.957
Ni 4.907 4.226 14.812
Ni 4.856 1.786 16.313
Ni 4.907 1.255 2.324
P 0.917 0.390 17.936
P 1.543 0.377 11.195
P 0.914 3.348 23.077
P 0.914 0.377 28.331
P 1.009 0.431 14.582
P 1.539 3.361 16.336
P 1.009 3.403 2.554
P 3.904 2.540 31.719
P 3.996 2.582 0.800
P 3.370 2.595 28.331
P 3.904 5.511 19.690
P 3.465 5.511 2.554
P 1.448 0.431 31.719
P 3.374 5.553 33.472
P 1.543 3.348 5.941
P 1.539 0.390 0.800
P 3.996 5.553 16.336
P 3.374 2.582 17.936
P 3.370 5.566 23.077
P 3.999 2.595 11.195
P 3.465 2.540 14.582
P 1.448 3.403 19.690
P 0.917 3.361 33.472
P 3.999 5.566 5.941

8
Lattice="3.033 -5.254 0.000 3.033 5.254 0.000 0.000 0.000 4.763" Properties=species:S:1:pos:R:3 comment="ZrTi3, relaxed, DFT PBE" space_group="P6_3/mmc (194)" pbc="T T T"
Ti 3.033 -3.570 3.572
Ti 1.459 -0.842 3.572
Ti 4.608 -0.842 3.572
Ti 3.033 3.570 1.191
Ti 1.459 0.842 1.191
Ti 4.608 0.842 1.191
Zr 3.033 1.751 3.572
Zr 3.033 -1.751 1.191

14
Lattice="6.453 0.038 3.790 2.186 6.078 3.791 0.051 0.038 7.491" Properties=species:S:1:pos:R:3 comment="DyMg2Mn3S8, relaxed, DFT PBE" m_tot_mub_per_cell=12.00 space_group="C2/m (12)" pbc="T T T"
Mn 7.571 3.097 9.431
Mn 4.371 3.096 11.282
Mn 5.439 6.116 9.432
Dy 4.345 3.077 7.536
S 3.171 4.394 5.498
S 5.519 1.760 9.574
S 6.433 4.555 11.156
S 3.496 4.625 9.574
S 2.257 1.599 3.916
S 5.194 1.529 5.498
S 6.533 4.626 7.818
S 2.158 1.528 7.254
Mg 7.599 5.382 13.180
Mg 1.091 0.772 1.892

24
Lattice="-0.506 -1.176 -3.891 3.665 -7.495 1.789 -14.781 -6.313 3.829" Properties=species:S:1:pos:R:3 comment="Sr2ZnS3, relaxed, DFT PBE" m_tot_mub_per_cell=0.01 space_group="Pnma (62)" pbc="T T T"
S -9.815 -13.412 4.252
S -7.176 -7.755 2.199
S -10.452 -6.826 0.188
S -1.807 -1.571 -2.524
S -1.169 -8.158 1.540
S -9.317 -10.871 1.263
S -2.305 -4.113 0.465
S -4.445 -7.228 -0.471
S 1.106 -5.440 0.423
S -5.629 -11.042 0.835
S -5.993 -3.942 0.892
S -12.728 -9.544 1.305
Zn -7.443 -9.579 0.629
Zn -4.178 -5.404 1.099
Zn 1.102 -7.679 1.100
Zn -12.723 -7.304 0.627
Sr -7.326 -11.702 3.411
Sr 0.205 -2.501 -0.349
Sr -1.433 -6.589 -1.056
Sr -4.116 -8.876 2.140
Sr -10.189 -8.395 2.784
Sr -11.827 -12.482 2.076
Sr -4.296 -3.282 -1.684
Sr -7.506 -6.107 -0.413

10
Lattice="5.170 -2.099 1.705 0.694 4.230 3.958 -4.774 -3.353 -0.063" Properties=species:S:1:pos:R:3 comment="HfTiPb2O6, relaxed, DFT PBE" m_tot_mub_per_cell=0.00 space_group="I4mm (107)" pbc="T T T"
O -2.039 -1.531 0.251
O 0.849 -0.520 3.148
O 0.647 2.271 2.307
O 2.937 -0.968 1.154
O 3.239 1.177 3.128
O 0.229 0.083 0.221
Hf 1.586 0.576 1.532
Pb 3.098 -1.672 3.622
Pb 0.860 1.492 4.748
Ti 4.519 1.642 4.364

| no. | E_form (eV/f.u.) |
| --- | --- |
| 1 | -103.4 |
| 2 | -5.2 |
| 3 | -6.5 |
| 4 | -3.7 |
| 5 | -27.7 |
| 6 | -2.7 |
| 7 | -0.1 |
| 8 | -4.2 |
| 9 | 0.1 |
| 10 | -17.9 |
| 11 | -11.5 |
| 12 | -28.4 |